## Sr2MgSi2O7 (PBE)

Data for crystalline Sr2MgSi2O7 at its relaxed geometry.

Properties
* space group: P2_1/c (14)
* energy of formation: -3376 meV/atom

The structure in CIF format:
```
data_Sr2MgSi2O7
_chemical_formula_sum 'Sr8 Mg4 Si8 O28'
_cell_length_a 9.494
_cell_length_b 7.970
_cell_length_c 10.415
_cell_angle_alpha 90.00
_cell_angle_beta 122.39
_cell_angle_gamma 90.00
_space_group_name_H-M_alt 'P 1'
_space_group_IT_number 1
loop_
_space_group_symop_operation_xyz
'x,y,z'
loop_
_atom_site_label
_atom_site_type_symbol
_atom_site_fract_x
_atom_site_fract_y
_atom_site_fract_z
_atom_site_occupancy
Sr1 Sr 0.072 0.233 0.024 1
Sr2 Sr 0.072 0.267 0.524 1
Sr3 Sr 0.425 0.551 0.701 1
Sr4 Sr 0.425 0.949 0.201 1
Sr5 Sr 0.575 0.051 0.799 1
Sr6 Sr 0.575 0.449 0.299 1
Sr7 Sr 0.928 0.733 0.476 1
Sr8 Sr 0.928 0.767 0.976 1
Mg1 Mg 0.218 0.609 0.884 1
Mg2 Mg 0.218 0.891 0.384 1
Mg3 Mg 0.782 0.109 0.616 1
Mg4 Mg 0.782 0.391 0.116 1
Si1 Si 0.158 0.540 0.292 1
Si2 Si 0.158 0.960 0.792 1
Si3 Si 0.384 0.226 0.419 1
Si4 Si 0.384 0.274 0.919 1
Si5 Si 0.616 0.726 0.081 1
Si6 Si 0.616 0.774 0.581 1
Si7 Si 0.842 0.040 0.208 1
Si8 Si 0.842 0.460 0.708 1
O1 O 0.004 0.549 0.857 1
O2 O 0.004 0.951 0.357 1
O3 O 0.143 0.554 0.440 1
O4 O 0.143 0.946 0.940 1
O5 O 0.187 0.721 0.235 1
O6 O 0.187 0.779 0.735 1
O7 O 0.252 0.092 0.291 1
O8 O 0.252 0.408 0.791 1
O9 O 0.327 0.081 0.837 1
O10 O 0.327 0.419 0.337 1
O11 O 0.374 0.229 0.571 1
O12 O 0.374 0.271 0.071 1
O13 O 0.436 0.686 0.061 1
O14 O 0.436 0.814 0.561 1
O15 O 0.564 0.186 0.439 1
O16 O 0.564 0.314 0.939 1
O17 O 0.626 0.729 0.929 1
O18 O 0.626 0.771 0.429 1
O19 O 0.673 0.581 0.663 1
O20 O 0.673 0.919 0.163 1
O21 O 0.748 0.592 0.209 1
O22 O 0.748 0.908 0.709 1
O23 O 0.813 0.221 0.265 1
O24 O 0.813 0.279 0.765 1
O25 O 0.857 0.054 0.060 1
O26 O 0.857 0.446 0.560 1
O27 O 0.996 0.049 0.643 1
O28 O 0.996 0.451 0.143 1
```

## Mg6Si5 (PBE)

Data for crystalline Mg6Si5 at its relaxed geometry.

Properties
* excess energy over the best structure of this formula in the dataset: 2.029 kcal/mol of atoms
* space group: P1 (1)
* energy of formation: 121 meV/atom

The structure in CIF format:
```
data_Mg6Si5
_chemical_formula_sum 'Mg12 Si10'
_cell_length_a 5.534
_cell_length_b 6.534
_cell_length_c 12.269
_cell_angle_alpha 80.33
_cell_angle_beta 79.55
_cell_angle_gamma 89.50
_space_group_name_H-M_alt 'P 1'
_space_group_IT_number 1
loop_
_space_group_symop_operation_xyz
'x,y,z'
loop_
_atom_site_label
_atom_site_type_symbol
_atom_site_fract_x
_atom_site_fract_y
_atom_site_fract_z
_atom_site_occupancy
Mg1 Mg 0.000 0.000 0.000 1
Mg2 Mg 0.011 0.970 0.445 1
Mg3 Mg 0.052 0.394 0.792 1
Mg4 Mg 0.119 0.770 0.231 1
Mg5 Mg 0.163 0.903 0.744 1
Mg6 Mg 0.265 0.515 0.003 1
Mg7 Mg 0.362 0.626 0.555 1
Mg8 Mg 0.381 0.385 0.327 1
Mg9 Mg 0.541 0.163 0.851 1
Mg10 Mg 0.570 0.899 0.322 1
Mg11 Mg 0.829 0.456 0.433 1
Mg12 Mg 0.950 0.250 0.214 1
Si1 Si 0.060 0.247 0.596 1
Si2 Si 0.447 0.104 0.513 1
Si3 Si 0.450 0.166 0.130 1
Si4 Si 0.481 0.859 0.043 1
Si5 Si 0.498 0.580 0.767 1
Si6 Si 0.701 0.004 0.656 1
Si7 Si 0.729 0.633 0.160 1
Si8 Si 0.736 0.727 0.883 1
Si9 Si 0.781 0.395 0.010 1
Si10 Si 0.853 0.653 0.620 1
```

## Na8MgTi3Si5SO24 (PBE)

Data for crystalline Na8MgTi3Si5SO24 at its relaxed geometry.

Properties
* space group: P1 (1)
* energy of formation: -2860 meV/atom

The structure in CIF format:
```
data_Na8MgTi3Si5SO24
_chemical_formula_sum 'Na24 Mg3 Ti9 Si15 S3 O72'
_cell_length_a 9.018
_cell_length_b 9.023
_cell_length_c 22.078
_cell_angle_alpha 89.95
_cell_angle_beta 89.30
_cell_angle_gamma 60.02
_space_group_name_H-M_alt 'P 1'
_space_group_IT_number 1
loop_
_space_group_symop_operation_xyz
'x,y,z'
loop_
_atom_site_label
_atom_site_type_symbol
_atom_site_fract_x
_atom_site_fract_y
_atom_site_fract_z
_atom_site_occupancy
Na1 Na 0.000 0.000 0.000 1
Na2 Na 0.000 0.356 0.493 1
Na3 Na 0.030 0.664 0.584 1
Na4 Na 0.032 0.662 0.086 1
Na5 Na 0.041 0.031 0.333 1
Na6 Na 0.047 0.290 0.833 1
Na7 Na 0.065 0.954 0.663 1
Na8 Na 0.069 0.327 0.165 1
Na9 Na 0.322 0.334 0.668 1
Na10 Na 0.331 0.696 0.165 1
Na11 Na 0.365 0.006 0.747 1
Na12 Na 0.366 0.994 0.251 1
Na13 Na 0.368 0.635 0.494 1
Na14 Na 0.378 0.347 0.999 1
Na15 Na 0.398 0.659 0.837 1
Na16 Na 0.402 0.285 0.329 1
Na17 Na 0.654 0.033 0.836 1
Na18 Na 0.655 0.669 0.333 1
Na19 Na 0.696 0.327 0.920 1
Na20 Na 0.701 0.957 0.165 1
Na21 Na 0.705 0.329 0.411 1
Na22 Na 0.709 0.695 0.663 1
Na23 Na 0.727 0.629 0.000 1
Na24 Na 0.739 0.988 0.498 1
Mg1 Mg 0.038 0.652 0.725 1
Mg2 Mg 0.363 0.986 0.392 1
Mg3 Mg 0.367 0.002 0.902 1
Ti1 Ti 0.023 0.672 0.429 1
Ti2 Ti 0.034 0.659 0.230 1
Ti3 Ti 0.054 0.646 0.942 1
Ti4 Ti 0.368 0.993 0.100 1
Ti5 Ti 0.370 0.975 0.602 1
Ti6 Ti 0.686 0.329 0.760 1
Ti7 Ti 0.700 0.329 0.267 1
Ti8 Ti 0.701 0.326 0.064 1
Ti9 Ti 0.714 0.326 0.565 1
Si1 Si 0.033 0.371 0.331 1
Si2 Si 0.074 0.280 0.997 1
Si3 Si 0.074 0.993 0.497 1
Si4 Si 0.324 0.658 0.330 1
Si5 Si 0.328 0.364 0.829 1
Si6 Si 0.374 0.703 0.996 1
Si7 Si 0.409 0.616 0.662 1
Si8 Si 0.410 0.326 0.165 1
Si9 Si 0.661 0.698 0.496 1
Si10 Si 0.661 0.994 0.996 1
Si11 Si 0.697 0.035 0.662 1
Si12 Si 0.699 0.618 0.164 1
Si13 Si 0.740 0.956 0.329 1
Si14 Si 0.991 0.036 0.164 1
Si15 Si 0.993 0.325 0.666 1
S1 S 0.033 0.952 0.831 1
S2 S 0.368 0.283 0.498 1
S3 S 0.743 0.659 0.831 1
O1 O 0.004 0.497 0.668 1
O2 O 0.004 0.872 0.886 1
O3 O 0.009 0.847 0.169 1
O4 O 0.053 0.849 0.776 1
O5 O 0.054 0.476 0.991 1
O6 O 0.059 0.468 0.272 1
O7 O 0.060 0.817 0.495 1
O8 O 0.144 0.171 0.936 1
O9 O 0.149 0.042 0.439 1
O10 O 0.180 0.020 0.158 1
O11 O 0.181 0.151 0.658 1
O12 O 0.188 0.968 0.834 1
O13 O 0.195 0.686 0.992 1
O14 O 0.199 0.684 0.272 1
O15 O 0.201 0.963 0.557 1
O16 O 0.202 0.197 0.055 1
O17 O 0.203 0.187 0.334 1
O18 O 0.209 0.455 0.771 1
O19 O 0.212 0.457 0.495 1
O20 O 0.220 0.498 0.169 1
O21 O 0.220 0.643 0.668 1
O22 O 0.230 0.625 0.391 1
O23 O 0.231 0.494 0.889 1
O24 O 0.331 0.830 0.055 1
O25 O 0.340 0.827 0.332 1
O26 O 0.341 0.203 0.554 1
O27 O 0.353 0.172 0.834 1
O28 O 0.393 0.154 0.158 1
O29 O 0.396 0.179 0.444 1
O30 O 0.400 0.804 0.660 1
O31 O 0.405 0.778 0.935 1
O32 O 0.501 0.359 0.106 1
O33 O 0.506 0.491 0.605 1
O34 O 0.511 0.481 0.326 1
O35 O 0.520 0.027 0.658 1
O36 O 0.522 0.304 0.504 1
O37 O 0.522 0.353 0.827 1
O38 O 0.526 0.807 0.158 1
O39 O 0.535 0.292 0.223 1
O40 O 0.535 0.509 0.004 1
O41 O 0.535 0.528 0.722 1
O42 O 0.541 0.780 0.439 1
O43 O 0.549 0.034 0.936 1
O44 O 0.555 0.974 0.336 1
O45 O 0.566 0.825 0.557 1
O46 O 0.568 0.809 0.835 1
O47 O 0.571 0.955 0.055 1
O48 O 0.662 0.164 0.723 1
O49 O 0.665 0.527 0.223 1
O50 O 0.681 0.506 0.506 1
O51 O 0.687 0.160 0.005 1
O52 O 0.727 0.132 0.605 1
O53 O 0.731 0.494 0.105 1
O54 O 0.731 0.498 0.827 1
O55 O 0.732 0.141 0.326 1
O56 O 0.822 0.686 0.776 1
O57 O 0.838 0.828 0.271 1
O58 O 0.848 0.636 0.885 1
O59 O 0.854 0.678 0.495 1
O60 O 0.854 0.819 0.988 1
O61 O 0.856 0.361 0.326 1
O62 O 0.865 0.851 0.671 1
O63 O 0.867 0.863 0.389 1
O64 O 0.868 0.128 0.106 1
O65 O 0.870 0.353 0.607 1
O66 O 0.871 0.635 0.169 1
O67 O 0.876 0.127 0.828 1
O68 O 0.878 0.161 0.506 1
O69 O 0.879 0.313 0.005 1
O70 O 0.898 0.290 0.725 1
O71 O 0.899 0.163 0.223 1
O72 O 0.998 0.498 0.391 1
```

## PdXe2F16 (PBE)

Data for crystalline PdXe2F16 at its relaxed geometry.

Properties
* space group: Pca2_1 (29)
* energy of formation: -990 meV/atom

The structure in CIF format:
```
data_PdXe2F16
_chemical_formula_sum 'Pd4 Xe8 F64'
_cell_length_a 9.561
_cell_length_b 13.142
_cell_length_c 9.626
_cell_angle_alpha 90.00
_cell_angle_beta 90.00
_cell_angle_gamma 90.00
_space_group_name_H-M_alt 'P 1'
_space_group_IT_number 1
loop_
_space_group_symop_operation_xyz
'x,y,z'
loop_
_atom_site_label
_atom_site_type_symbol
_atom_site_fract_x
_atom_site_fract_y
_atom_site_fract_z
_atom_site_occupancy
Pd1 Pd 0.176 0.242 0.000 1
Pd2 Pd 0.324 0.242 0.500 1
Pd3 Pd 0.676 0.758 0.000 1
Pd4 Pd 0.824 0.758 0.500 1
Xe1 Xe 0.011 0.615 0.777 1
Xe2 Xe 0.033 0.878 0.219 1
Xe3 Xe 0.467 0.878 0.719 1
Xe4 Xe 0.489 0.615 0.277 1
Xe5 Xe 0.511 0.385 0.777 1
Xe6 Xe 0.533 0.122 0.219 1
Xe7 Xe 0.967 0.122 0.719 1
Xe8 Xe 0.989 0.385 0.277 1
F1 F 0.000 0.086 0.520 1
F2 F 0.000 0.914 0.020 1
F3 F 0.015 0.977 0.755 1
F4 F 0.026 0.216 0.132 1
F5 F 0.039 0.423 0.472 1
F6 F 0.040 0.285 0.862 1
F7 F 0.062 0.523 0.229 1
F8 F 0.122 0.612 0.602 1
F9 F 0.130 0.754 0.151 1
F10 F 0.133 0.724 0.852 1
F11 F 0.137 0.875 0.398 1
F12 F 0.155 0.109 0.912 1
F13 F 0.172 0.270 0.367 1
F14 F 0.175 0.531 0.833 1
F15 F 0.179 0.376 0.089 1
F16 F 0.191 0.193 0.642 1
F17 F 0.215 0.940 0.167 1
F18 F 0.285 0.940 0.667 1
F19 F 0.309 0.193 0.142 1
F20 F 0.321 0.376 0.589 1
F21 F 0.325 0.531 0.333 1
F22 F 0.328 0.270 0.867 1
F23 F 0.345 0.109 0.412 1
F24 F 0.363 0.875 0.898 1
F25 F 0.367 0.724 0.352 1
F26 F 0.370 0.754 0.651 1
F27 F 0.378 0.612 0.102 1
F28 F 0.438 0.523 0.729 1
F29 F 0.460 0.285 0.362 1
F30 F 0.461 0.423 0.972 1
F31 F 0.474 0.216 0.632 1
F32 F 0.485 0.977 0.255 1
F33 F 0.500 0.086 0.020 1
F34 F 0.500 0.914 0.520 1
F35 F 0.515 0.023 0.755 1
F36 F 0.526 0.784 0.132 1
F37 F 0.539 0.577 0.472 1
F38 F 0.540 0.715 0.862 1
F39 F 0.562 0.477 0.229 1
F40 F 0.622 0.388 0.602 1
F41 F 0.630 0.246 0.151 1
F42 F 0.633 0.276 0.852 1
F43 F 0.637 0.125 0.398 1
F44 F 0.655 0.891 0.912 1
F45 F 0.672 0.730 0.367 1
F46 F 0.675 0.469 0.833 1
F47 F 0.679 0.624 0.089 1
F48 F 0.691 0.807 0.642 1
F49 F 0.715 0.060 0.167 1
F50 F 0.785 0.060 0.667 1
F51 F 0.809 0.807 0.142 1
F52 F 0.821 0.624 0.589 1
F53 F 0.825 0.469 0.333 1
F54 F 0.828 0.730 0.867 1
F55 F 0.845 0.891 0.412 1
F56 F 0.863 0.125 0.898 1
F57 F 0.867 0.276 0.352 1
F58 F 0.870 0.246 0.651 1
F59 F 0.878 0.388 0.102 1
F60 F 0.938 0.477 0.729 1
F61 F 0.960 0.715 0.362 1
F62 F 0.961 0.577 0.972 1
F63 F 0.974 0.784 0.632 1
F64 F 0.985 0.023 0.255 1
```

## ZrGa2Co (PBE)

Data for crystalline ZrGa2Co at its relaxed geometry.

Properties
* space group: I4mm (107)
* energy of formation: -538 meV/atom

The structure in CIF format:
```
data_ZrGa2Co
_chemical_formula_sum 'Zr10 Ga20 Co10'
_cell_length_a 9.626
_cell_length_b 9.626
_cell_length_c 9.626
_cell_angle_alpha 100.37
_cell_angle_beta 100.37
_cell_angle_gamma 129.78
_space_group_name_H-M_alt 'P 1'
_space_group_IT_number 1
loop_
_space_group_symop_operation_xyz
'x,y,z'
loop_
_atom_site_label
_atom_site_type_symbol
_atom_site_fract_x
_atom_site_fract_y
_atom_site_fract_z
_atom_site_occupancy
Zr1 Zr 0.000 0.000 0.000 1
Zr2 Zr 0.079 0.079 0.402 1
Zr3 Zr 0.079 0.676 0.000 1
Zr4 Zr 0.106 0.389 0.717 1
Zr5 Zr 0.389 0.106 0.717 1
Zr6 Zr 0.389 0.672 0.283 1
Zr7 Zr 0.458 0.458 0.000 1
Zr8 Zr 0.672 0.389 0.283 1
Zr9 Zr 0.676 0.079 0.000 1
Zr10 Zr 0.676 0.676 0.598 1
Ga1 Ga 0.090 0.090 0.734 1
Ga2 Ga 0.090 0.356 0.000 1
Ga3 Ga 0.247 0.865 0.383 1
Ga4 Ga 0.267 0.479 0.493 1
Ga5 Ga 0.267 0.774 0.789 1
Ga6 Ga 0.356 0.090 0.000 1
Ga7 Ga 0.356 0.356 0.266 1
Ga8 Ga 0.479 0.267 0.493 1
Ga9 Ga 0.479 0.986 0.211 1
Ga10 Ga 0.482 0.865 0.617 1
Ga11 Ga 0.554 0.716 0.838 1
Ga12 Ga 0.716 0.554 0.838 1
Ga13 Ga 0.716 0.878 0.162 1
Ga14 Ga 0.774 0.267 0.789 1
Ga15 Ga 0.774 0.986 0.507 1
Ga16 Ga 0.865 0.247 0.383 1
Ga17 Ga 0.865 0.482 0.617 1
Ga18 Ga 0.878 0.716 0.162 1
Ga19 Ga 0.986 0.479 0.211 1
Ga20 Ga 0.986 0.774 0.507 1
Co1 Co 0.028 0.245 0.216 1
Co2 Co 0.028 0.812 0.784 1
Co3 Co 0.115 0.615 0.500 1
Co4 Co 0.245 0.028 0.216 1
Co5 Co 0.372 0.372 0.676 1
Co6 Co 0.372 0.696 0.000 1
Co7 Co 0.615 0.115 0.500 1
Co8 Co 0.696 0.372 0.000 1
Co9 Co 0.696 0.696 0.324 1
Co10 Co 0.812 0.028 0.784 1
```

## Hf9PW4 (PBE)

Data for crystalline Hf9PW4 at its relaxed geometry.

Properties
* excess energy over the best structure of this formula in the dataset: 0.000 kcal/mol of atoms
* space group: Cmcm (63)
* energy of formation: -297 meV/atom

The structure in CIF format:
```
data_Hf9PW4
_chemical_formula_sum 'Hf18 P2 W8'
_cell_length_a 8.666
_cell_length_b 8.666
_cell_length_c 8.661
_cell_angle_alpha 90.00
_cell_angle_beta 90.00
_cell_angle_gamma 120.07
_space_group_name_H-M_alt 'P 1'
_space_group_IT_number 1
loop_
_space_group_symop_operation_xyz
'x,y,z'
loop_
_atom_site_label
_atom_site_type_symbol
_atom_site_fract_x
_atom_site_fract_y
_atom_site_fract_z
_atom_site_occupancy
Hf1 Hf 0.039 0.578 0.750 1
Hf2 Hf 0.039 0.961 0.750 1
Hf3 Hf 0.106 0.303 0.549 1
Hf4 Hf 0.106 0.303 0.951 1
Hf5 Hf 0.303 0.106 0.049 1
Hf6 Hf 0.303 0.106 0.451 1
Hf7 Hf 0.303 0.697 0.049 1
Hf8 Hf 0.303 0.697 0.451 1
Hf9 Hf 0.422 0.961 0.750 1
Hf10 Hf 0.578 0.039 0.250 1
Hf11 Hf 0.697 0.303 0.549 1
Hf12 Hf 0.697 0.303 0.951 1
Hf13 Hf 0.697 0.894 0.549 1
Hf14 Hf 0.697 0.894 0.951 1
Hf15 Hf 0.894 0.697 0.049 1
Hf16 Hf 0.894 0.697 0.451 1
Hf17 Hf 0.961 0.039 0.250 1
Hf18 Hf 0.961 0.422 0.250 1
P1 P 0.167 0.833 0.250 1
P2 P 0.833 0.167 0.750 1
W1 W 0.279 0.390 0.250 1
W2 W 0.389 0.611 0.750 1
W3 W 0.390 0.279 0.750 1
W4 W 0.500 0.500 0.000 1
W5 W 0.500 0.500 0.500 1
W6 W 0.610 0.721 0.250 1
W7 W 0.611 0.389 0.250 1
W8 W 0.721 0.610 0.750 1
```

## PrSn2O6 (PBE)

Data for crystalline PrSn2O6 at its relaxed geometry.

Properties
* space group: Pmn2_1 (31)
* energy of formation: -2270 meV/atom

The structure in CIF format:
```
data_PrSn2O6
_chemical_formula_sum 'Pr2 Sn4 O12'
_cell_length_a 8.018
_cell_length_b 5.904
_cell_length_c 5.633
_cell_angle_alpha 90.00
_cell_angle_beta 90.00
_cell_angle_gamma 90.00
_space_group_name_H-M_alt 'P 1'
_space_group_IT_number 1
loop_
_space_group_symop_operation_xyz
'x,y,z'
loop_
_atom_site_label
_atom_site_type_symbol
_atom_site_fract_x
_atom_site_fract_y
_atom_site_fract_z
_atom_site_occupancy
Pr1 Pr 0.000 0.181 0.000 1
Pr2 Pr 0.500 0.819 0.500 1
Sn1 Sn 0.248 0.274 0.489 1
Sn2 Sn 0.252 0.726 0.989 1
Sn3 Sn 0.748 0.726 0.989 1
Sn4 Sn 0.752 0.274 0.489 1
O1 O 0.000 0.266 0.590 1
O2 O 0.000 0.778 0.928 1
O3 O 0.196 0.442 0.179 1
O4 O 0.221 0.982 0.256 1
O5 O 0.279 0.018 0.756 1
O6 O 0.304 0.558 0.679 1
O7 O 0.500 0.222 0.428 1
O8 O 0.500 0.734 0.090 1
O9 O 0.696 0.558 0.679 1
O10 O 0.721 0.018 0.756 1
O11 O 0.779 0.982 0.256 1
O12 O 0.804 0.442 0.179 1
```